Record 1
# GGA-PBE Pu2S3, relaxed
data_Pu2S3
_symmetry_space_group_name_H-M 'I -4 2 d'
_symmetry_Int_Tables_number 122
_symmetry_space_group_name_Hall 'I -4 2bw'
_cell_length_a 8.300
_cell_length_b 8.300
_cell_length_c 25.116
_cell_angle_alpha 90.00
_cell_angle_beta 90.00
_cell_angle_gamma 90.00
loop_
_atom_site_label
_atom_site_type_symbol
_atom_site_fract_x
_atom_site_fract_y
_atom_site_fract_z
_atom_site_occupancy
Pu1 Pu 0.000 0.000 0.165 1
Pu2 Pu 0.120 0.750 0.625 1
Pu3 Pu 0.135 0.745 0.961 1
S1 S 0.075 0.673 0.183 1
S2 S 0.076 0.680 0.854 1
S3 S 0.078 0.669 0.516 1
# Final energy ... -9.914 eV/atom
# Energy of formation ... -195.6 kJ/mol of atoms
# Magnetization ... 10.0 μB per formula unit



Record 2
# GGA-PBE CeMn4Al8, relaxed
data_CeMn4Al8
_symmetry_space_group_name_H-M 'I 4/m m m'
_symmetry_Int_Tables_number 139
_symmetry_space_group_name_Hall '-I 4 2'
_cell_length_a 8.846
_cell_length_b 8.846
_cell_length_c 5.167
_cell_angle_alpha 90.00
_cell_angle_beta 90.00
_cell_angle_gamma 90.00
loop_
_atom_site_label
_atom_site_type_symbol
_atom_site_fract_x
_atom_site_fract_y
_atom_site_fract_z
_atom_site_occupancy
Ce1 Ce 0.000 0.000 0.000 1
Mn1 Mn 0.250 0.250 0.250 1
Al1 Al 0.000 0.226 0.500 1
Al2 Al 0.000 0.340 0.000 1
# Final energy ... -5.911 eV/atom
# Energy of formation ... -31.9 kJ/mol of atoms



Record 3
# GGA-PBE Zr6PbO2F22, relaxed
data_Zr6PbO2F22
_symmetry_space_group_name_H-M 'P 63 m c'
_symmetry_Int_Tables_number 186
_symmetry_space_group_name_Hall 'P 6c -2c'
_cell_length_a 7.6342
_cell_length_b 7.6342
_cell_length_c 15.2501
_cell_angle_alpha 90.00
_cell_angle_beta 90.00
_cell_angle_gamma 120.00
loop_
_atom_site_label
_atom_site_type_symbol
_atom_site_fract_x
_atom_site_fract_y
_atom_site_fract_z
_atom_site_occupancy
Zr1 Zr 0.1730 0.3459 0.0000 1
Zr2 Zr 0.1787 0.3573 0.2777 1
Pb1 Pb 0.3333 0.6667 0.6333 1
O1 O 0.3333 0.6667 0.3012 1
O2 O 0.3333 0.6667 0.9804 1
F1 F 0.0000 0.0000 0.4295 1
F2 F 0.0016 0.3314 0.3889 1
F3 F 0.0134 0.5067 0.5372 1
F4 F 0.0148 0.5074 0.7408 1
F5 F 0.1131 0.2262 0.7436 1
F6 F 0.1235 0.2469 0.5509 1
F7 F 0.1955 0.3910 0.1401 1
# Final energy ... -6.942 eV/atom
# Energy of formation ... -372.6 kJ/mol of atoms
# Magnetization ... 0.0 μB per formula unit



Record 4
# GGA-PBE Na3B2PO5F4, relaxed
data_Na3B2PO5F4
_symmetry_space_group_name_H-M 'P 1 21/c 1'
_symmetry_Int_Tables_number 14
_cell_length_a 6.616
_cell_length_b 12.333
_cell_length_c 9.941
_cell_angle_alpha 90.00
_cell_angle_beta 118.36
_cell_angle_gamma 90.00
loop_
_symmetry_equiv_pos_as_xyz
'x,y,z'
'-x,-y,-z'
'-x,y+1/2,-z+1/2'
'x,-y+1/2,z+1/2'
loop_
_atom_site_label
_atom_site_type_symbol
_atom_site_fract_x
_atom_site_fract_y
_atom_site_fract_z
_atom_site_occupancy
Na1 Na 0.169 0.079 0.337 1
Na2 Na 0.169 0.143 0.959 1
Na3 Na 0.298 0.730 0.911 1
B1 B 0.332 0.565 0.629 1
B2 B 0.342 0.553 0.195 1
P1 P 0.275 0.161 0.690 1
O1 O 0.111 0.235 0.713 1
O2 O 0.184 0.039 0.669 1
O3 O 0.327 0.191 0.561 1
O4 O 0.435 0.039 0.175 1
O5 O 0.491 0.655 0.650 1
F1 F 0.161 0.564 0.470 1
F2 F 0.202 0.591 0.712 1
F3 F 0.228 0.647 0.211 1
F4 F 0.365 0.571 0.058 1
# Final energy ... -6.246 eV/atom
# Energy of formation ... -282.0 kJ/mol of atoms
# Magnetization ... 0.0 μB per formula unit



Record 5
# GGA-PBE CeNi4B, relaxed
data_CeNi4B
_symmetry_space_group_name_H-M 'P 6/m m m'
_symmetry_Int_Tables_number 191
_symmetry_space_group_name_Hall '-P 6 2'
_cell_length_a 4.9950
_cell_length_b 4.9950
_cell_length_c 7.0340
_cell_angle_alpha 90.00
_cell_angle_beta 90.00
_cell_angle_gamma 120.00
loop_
_atom_site_label
_atom_site_type_symbol
_atom_site_fract_x
_atom_site_fract_y
_atom_site_fract_z
_atom_site_occupancy
Ce1 Ce 0.0000 0.0000 0.0000 1
Ce2 Ce 0.0000 0.0000 0.5000 1
Ni1 Ni 0.0000 0.5000 0.2084 1
Ni2 Ni 0.3333 0.6667 0.5000 1
B1 B 0.3333 0.6667 0.0000 1
# Final energy ... -6.408 eV/atom
# Energy of formation ... -43.7 kJ/mol of atoms



Record 6
# GGA-PBE HfO2, relaxed
data_HfO2
_symmetry_space_group_name_H-M 'P 42/n m c'
_symmetry_Int_Tables_number 137
_cell_length_a 3.593
_cell_length_b 3.593
_cell_length_c 5.225
_cell_angle_alpha 90.00
_cell_angle_beta 90.00
_cell_angle_gamma 90.00
loop_
_symmetry_equiv_pos_as_xyz
'x,y,z'
'-x,-y,-z'
'-y+1/2,x,z+1/2'
'y+1/2,-x,-z+1/2'
'-x+1/2,-y+1/2,z'
'x+1/2,y+1/2,-z'
'y,-x+1/2,z+1/2'
'-y,x+1/2,-z+1/2'
'x+1/2,-y,-z'
'-x+1/2,y,z'
'-y,-x,-z+1/2'
'y,x,z+1/2'
'-x,y+1/2,-z'
'x,-y+1/2,z'
'y+1/2,x+1/2,-z+1/2'
'-y+1/2,-x+1/2,z+1/2'
loop_
_atom_site_label
_atom_site_type_symbol
_atom_site_fract_x
_atom_site_fract_y
_atom_site_fract_z
_atom_site_occupancy
Hf1 Hf 0.250 0.750 0.250 1
O1 O 0.250 0.250 0.055 1
# Final energy ... -10.125 eV/atom
# Energy of formation ... -382.6 kJ/mol of atoms



Record 7
# GGA-PBE LaS4N5O16, relaxed
data_LaS4N5O16
_symmetry_space_group_name_H-M 'P -1'
_symmetry_Int_Tables_number 2
_cell_length_a 8.297
_cell_length_b 9.483
_cell_length_c 12.280
_cell_angle_alpha 82.84
_cell_angle_beta 70.45
_cell_angle_gamma 68.28
loop_
_symmetry_equiv_pos_as_xyz
'x,y,z'
'-x,-y,-z'
loop_
_atom_site_label
_atom_site_type_symbol
_atom_site_fract_x
_atom_site_fract_y
_atom_site_fract_z
_atom_site_occupancy
La1 La 0.078 0.250 0.344 1
S1 S 0.105 0.381 0.622 1
S2 S 0.114 0.667 0.854 1
S3 S 0.226 0.880 0.379 1
S4 S 0.466 0.168 0.148 1
N1 N 0.103 0.942 0.110 1
N2 N 0.288 0.557 0.110 1
N3 N 0.304 0.251 0.889 1
N4 N 0.330 0.979 0.634 1
N5 N 0.462 0.481 0.367 1
O1 O 0.022 0.394 0.155 1
O2 O 0.049 0.753 0.963 1
O3 O 0.060 0.979 0.346 1
O4 O 0.093 0.521 0.347 1
O5 O 0.139 0.273 0.716 1
O6 O 0.151 0.763 0.750 1
O7 O 0.158 0.295 0.515 1
O8 O 0.172 0.795 0.485 1
O9 O 0.209 0.486 0.603 1
O10 O 0.285 0.547 0.865 1
O11 O 0.311 0.985 0.399 1
O12 O 0.322 0.106 0.155 1
O13 O 0.351 0.953 0.865 1
O14 O 0.354 0.772 0.284 1
O15 O 0.400 0.262 0.252 1
O16 O 0.490 0.744 0.961 1
# Final energy ... -5.456 eV/atom
# Energy of formation ... -39.0 kJ/mol of atoms
# Magnetization ... 10.0 μB per formula unit



Record 8
# GGA-PBE Ho4Cu5P7, relaxed
data_Ho4Cu5P7
_symmetry_space_group_name_H-M 'I -4 2 m'
_symmetry_Int_Tables_number 121
_symmetry_space_group_name_Hall 'I -4 2'
_cell_length_a 5.272
_cell_length_b 5.272
_cell_length_c 19.131
_cell_angle_alpha 90.00
_cell_angle_beta 90.00
_cell_angle_gamma 90.00
loop_
_atom_site_label
_atom_site_type_symbol
_atom_site_fract_x
_atom_site_fract_y
_atom_site_fract_z
_atom_site_occupancy
Ho1 Ho 0.240 0.240 0.116 1
Cu1 Cu 0.000 0.000 0.250 1
Cu2 Cu 0.000 0.000 0.500 1
Cu3 Cu 0.000 0.500 0.250 1
P1 P 0.000 0.000 0.000 1
P2 P 0.000 0.500 0.000 1
P3 P 0.246 0.246 0.329 1
# Final energy ... -5.603 eV/atom
# Energy of formation ... -78.0 kJ/mol of atoms
# Magnetization ... 0.0 μB per formula unit



Record 9
# GGA-PBE NaGe4P5SO24, relaxed
data_NaGe4P5SO24
_symmetry_space_group_name_H-M 'P 1'
_symmetry_Int_Tables_number 1
_cell_length_a 8.334
_cell_length_b 8.341
_cell_length_c 21.695
_cell_angle_alpha 89.52
_cell_angle_beta 89.77
_cell_angle_gamma 60.14
loop_
_symmetry_equiv_pos_as_xyz
'x,y,z'
loop_
_atom_site_label
_atom_site_type_symbol
_atom_site_fract_x
_atom_site_fract_y
_atom_site_fract_z
_atom_site_occupancy
Na1 Na 0.000 0.000 0.000 1
Na2 Na 0.003 0.000 0.502 1
Na3 Na 0.669 0.667 0.667 1
Ge1 Ge 0.004 0.999 0.647 1
Ge2 Ge 0.009 0.003 0.358 1
Ge3 Ge 0.011 0.997 0.145 1
Ge4 Ge 0.336 0.333 0.480 1
Ge5 Ge 0.336 0.334 0.690 1
Ge6 Ge 0.336 0.341 0.980 1
Ge7 Ge 0.337 0.325 0.185 1
Ge8 Ge 0.662 0.674 0.317 1
Ge9 Ge 0.670 0.667 0.522 1
Ge10 Ge 0.676 0.657 0.812 1
Ge11 Ge 0.677 0.661 0.023 1
Ge12 Ge 0.995 0.000 0.851 1
P1 P 0.007 0.284 0.750 1
P2 P 0.050 0.334 0.084 1
P3 P 0.051 0.619 0.584 1
P4 P 0.290 0.711 0.751 1
P5 P 0.293 0.999 0.251 1
P6 P 0.337 0.047 0.584 1
P7 P 0.340 0.618 0.085 1
P8 P 0.384 0.663 0.418 1
P9 P 0.622 0.332 0.584 1
P10 P 0.624 0.043 0.084 1
P11 P 0.668 0.957 0.418 1
P12 P 0.670 0.379 0.918 1
P13 P 0.712 0.001 0.750 1
P14 P 0.957 0.383 0.417 1
P15 P 0.958 0.665 0.917 1
S1 S 0.003 0.709 0.251 1
S2 S 0.382 0.956 0.918 1
S3 S 0.713 0.290 0.251 1
O1 O 0.029 0.160 0.092 1
O2 O 0.030 0.813 0.591 1
O3 O 0.039 0.791 0.306 1
O4 O 0.042 0.166 0.810 1
O5 O 0.129 0.373 0.142 1
O6 O 0.130 0.500 0.642 1
O7 O 0.147 0.361 0.425 1
O8 O 0.147 0.492 0.926 1
O9 O 0.163 0.027 0.591 1
O10 O 0.164 0.811 0.092 1
O11 O 0.167 0.040 0.308 1
O12 O 0.169 0.540 0.526 1
O13 O 0.171 0.527 0.243 1
O14 O 0.171 0.794 0.810 1
O15 O 0.174 0.290 0.026 1
O16 O 0.176 0.305 0.743 1
O17 O 0.190 0.838 0.410 1
O18 O 0.196 0.974 0.912 1
O19 O 0.208 0.960 0.194 1
O20 O 0.210 0.835 0.693 1
O21 O 0.293 0.542 0.027 1
O22 O 0.297 0.165 0.526 1
O23 O 0.310 0.173 0.242 1
O24 O 0.310 0.522 0.743 1
O25 O 0.363 0.494 0.426 1
O26 O 0.364 0.139 0.925 1
O27 O 0.375 0.127 0.642 1
O28 O 0.375 0.499 0.143 1
O29 O 0.459 0.839 0.974 1
O30 O 0.463 0.708 0.475 1
O31 O 0.482 0.696 0.759 1
O32 O 0.484 0.826 0.260 1
O33 O 0.495 0.877 0.862 1
O34 O 0.499 0.146 0.426 1
O35 O 0.499 0.358 0.926 1
O36 O 0.500 0.626 0.359 1
O37 O 0.503 0.372 0.642 1
O38 O 0.507 0.123 0.142 1
O39 O 0.508 0.641 0.075 1
O40 O 0.509 0.854 0.577 1
O41 O 0.523 0.172 0.742 1
O42 O 0.528 0.308 0.243 1
O43 O 0.543 0.168 0.026 1
O44 O 0.543 0.294 0.526 1
O45 O 0.630 0.501 0.860 1
O46 O 0.631 0.876 0.359 1
O47 O 0.642 0.854 0.075 1
O48 O 0.643 0.506 0.577 1
O49 O 0.694 0.826 0.759 1
O50 O 0.698 0.472 0.258 1
O51 O 0.709 0.461 0.976 1
O52 O 0.713 0.832 0.475 1
O53 O 0.791 0.040 0.809 1
O54 O 0.792 0.170 0.306 1
O55 O 0.816 0.160 0.591 1
O56 O 0.818 0.026 0.093 1
O57 O 0.830 0.209 0.195 1
O58 O 0.831 0.477 0.757 1
O59 O 0.833 0.461 0.475 1
O60 O 0.834 0.709 0.975 1
O61 O 0.837 0.691 0.258 1
O62 O 0.837 0.957 0.693 1
O63 O 0.845 0.186 0.910 1
O64 O 0.845 0.973 0.408 1
O65 O 0.857 0.639 0.577 1
O66 O 0.860 0.504 0.076 1
O67 O 0.873 0.500 0.358 1
O68 O 0.873 0.631 0.860 1
O69 O 0.962 0.205 0.693 1
O70 O 0.963 0.829 0.195 1
O71 O 0.973 0.190 0.410 1
O72 O 0.979 0.839 0.910 1
# Final energy ... -6.714 eV/atom
# Energy of formation ... -225.3 kJ/mol of atoms
# Magnetization ... 0.0 μB per formula unit



Record 10
# GGA-PBE Mg5In, relaxed
data_Mg5In
_symmetry_space_group_name_H-M 'P -6 2 m'
_symmetry_Int_Tables_number 189
_symmetry_space_group_name_Hall 'P -6 -2'
_cell_length_a 5.5352
_cell_length_b 5.5352
_cell_length_c 5.1934
_cell_angle_alpha 90.00
_cell_angle_beta 90.00
_cell_angle_gamma 120.00
loop_
_atom_site_label
_atom_site_type_symbol
_atom_site_fract_x
_atom_site_fract_y
_atom_site_fract_z
_atom_site_occupancy
Mg1 Mg 0.0000 0.6660 0.0000 1
Mg2 Mg 0.3333 0.6667 0.5000 1
In1 In 0.0000 0.0000 0.5000 1
# Final energy ... -1.823 eV/atom
# Energy of formation ... -3.0 kJ/mol of atoms